No. 1
Density functional theory data (GGA-PBE) for K4IrO4 after structural relaxation.

Results
formation enthalpy at 0 K	-1.536	eV per atom
uncorrected energy	-4.905	eV per atom

a b c (Å): 5.657 5.657 6.280
angles (deg): 103.51 103.51 69.02
Fractional coordinates of all 9 atoms:
1 K 0.122 0.122 0.366
2 K 0.306 0.306 0.917
3 K 0.694 0.694 0.083
4 K 0.878 0.878 0.634
5 Ir 0.500 0.500 0.500
6 O 0.176 0.603 0.301
7 O 0.397 0.824 0.699
8 O 0.603 0.176 0.301
9 O 0.824 0.397 0.699

***

No. 2
Density functional theory data (GGA-PBE) for K2Sm2IrO7 after structural relaxation.

Results
formation enthalpy at 0 K	-2.488	eV per atom
uncorrected energy	-6.681	eV per atom

a b c (Å): 13.074 13.074 13.074
angles (deg): 25.34 25.34 25.34
Fractional coordinates of all 24 atoms:
1 K 0.087 0.087 0.087
2 K 0.413 0.413 0.413
3 K 0.587 0.587 0.587
4 K 0.913 0.913 0.913
5 Sm 0.191 0.191 0.191
6 Sm 0.309 0.309 0.309
7 Sm 0.691 0.691 0.691
8 Sm 0.809 0.809 0.809
9 Ir 0.000 0.000 0.000
10 Ir 0.500 0.500 0.500
11 O 0.096 0.708 0.278
12 O 0.208 0.596 0.778
13 O 0.222 0.792 0.404
14 O 0.250 0.250 0.250
15 O 0.278 0.096 0.708
16 O 0.292 0.722 0.904
17 O 0.404 0.222 0.792
18 O 0.596 0.778 0.208
19 O 0.708 0.278 0.096
20 O 0.722 0.904 0.292
21 O 0.750 0.750 0.750
22 O 0.778 0.208 0.596
23 O 0.792 0.404 0.222
24 O 0.904 0.292 0.722

***

No. 3
Density functional theory data (GGA-PBE) for La2Ir7 after structural relaxation.

Results
E above lowest polymorph	0.000	kcal/mol of atoms
formation enthalpy at 0 K	-0.477	eV per atom
uncorrected energy	-8.448	eV per atom

a b c (Å): 5.399 5.399 26.563
angles (deg): 90.00 90.00 120.00
Fractional coordinates of all 36 atoms:
1 La 0.333 0.667 0.029
2 La 0.333 0.667 0.174
3 La 0.333 0.667 0.326
4 La 0.333 0.667 0.471
5 La 0.667 0.333 0.529
6 La 0.667 0.333 0.674
7 La 0.667 0.333 0.826
8 La 0.667 0.333 0.971
9 Ir 0.000 0.000 0.000
10 Ir 0.000 0.000 0.168
11 Ir 0.000 0.000 0.332
12 Ir 0.000 0.000 0.500
13 Ir 0.000 0.000 0.668
14 Ir 0.000 0.000 0.832
15 Ir 0.166 0.331 0.587
16 Ir 0.166 0.331 0.913
17 Ir 0.166 0.834 0.587
18 Ir 0.166 0.834 0.913
19 Ir 0.168 0.336 0.750
20 Ir 0.168 0.832 0.750
21 Ir 0.331 0.166 0.087
22 Ir 0.331 0.166 0.413
23 Ir 0.333 0.667 0.667
24 Ir 0.333 0.667 0.833
25 Ir 0.336 0.168 0.250
26 Ir 0.664 0.832 0.750
27 Ir 0.667 0.333 0.167
28 Ir 0.667 0.333 0.333
29 Ir 0.669 0.834 0.587
30 Ir 0.669 0.834 0.913
31 Ir 0.832 0.168 0.250
32 Ir 0.832 0.664 0.250
33 Ir 0.834 0.166 0.087
34 Ir 0.834 0.166 0.413
35 Ir 0.834 0.669 0.087
36 Ir 0.834 0.669 0.413

***

No. 4
Density functional theory data (GGA-PBE) for La2Ir7 after structural relaxation.

Results
E above lowest polymorph	0.117	kcal/mol of atoms
formation enthalpy at 0 K	-0.472	eV per atom
uncorrected energy	-8.443	eV per atom

a b c (Å): 13.544 13.544 13.544
angles (deg): 23.13 23.13 23.13
Fractional coordinates of all 18 atoms:
1 La 0.051 0.051 0.051
2 La 0.147 0.147 0.147
3 La 0.853 0.853 0.853
4 La 0.949 0.949 0.949
5 Ir 0.000 0.500 0.500
6 Ir 0.111 0.607 0.607
7 Ir 0.278 0.278 0.278
8 Ir 0.388 0.388 0.388
9 Ir 0.393 0.393 0.889
10 Ir 0.393 0.889 0.393
11 Ir 0.500 0.000 0.500
12 Ir 0.500 0.500 0.000
13 Ir 0.500 0.500 0.500
14 Ir 0.607 0.111 0.607
15 Ir 0.607 0.607 0.111
16 Ir 0.612 0.612 0.612
17 Ir 0.722 0.722 0.722
18 Ir 0.889 0.393 0.393

***

No. 5
Density functional theory data (GGA-PBE) for La4Ir after structural relaxation.

Results
formation enthalpy at 0 K	-0.014	eV per atom
uncorrected energy	-5.730	eV per atom

a b c (Å): 8.116 8.116 8.116
angles (deg): 60.00 60.00 60.00
Fractional coordinates of all 10 atoms:
1 La 0.217 0.761 0.761
2 La 0.239 0.239 0.239
3 La 0.239 0.239 0.783
4 La 0.239 0.783 0.239
5 La 0.761 0.217 0.761
6 La 0.761 0.761 0.217
7 La 0.761 0.761 0.761
8 La 0.783 0.239 0.239
9 Ir 0.375 0.375 0.375
10 Ir 0.625 0.625 0.625

***

No. 6
Density functional theory data (GGA-PBE) for La3Ir after structural relaxation.

Results
formation enthalpy at 0 K	-0.489	eV per atom
uncorrected energy	-6.400	eV per atom

a b c (Å): 7.452 10.070 6.667
angles (deg): 90.00 90.00 90.00
Fractional coordinates of all 16 atoms:
1 La 0.038 0.250 0.141
2 La 0.174 0.067 0.670
3 La 0.174 0.433 0.670
4 La 0.326 0.567 0.170
5 La 0.326 0.933 0.170
6 La 0.462 0.750 0.641
7 La 0.538 0.250 0.359
8 La 0.674 0.067 0.830
9 La 0.674 0.433 0.830
10 La 0.826 0.567 0.330
11 La 0.826 0.933 0.330
12 La 0.962 0.750 0.859
13 Ir 0.119 0.750 0.437
14 Ir 0.381 0.250 0.937
15 Ir 0.619 0.750 0.063
16 Ir 0.881 0.250 0.563

***

No. 7
Density functional theory data (GGA-PBE) for La5Ir3 after structural relaxation.

Results
formation enthalpy at 0 K	-0.671	eV per atom
uncorrected energy	-7.070	eV per atom

a b c (Å): 11.412 11.412 6.691
angles (deg): 90.00 90.00 90.00
Fractional coordinates of all 32 atoms:
1 La 0.042 0.160 0.117
2 La 0.042 0.340 0.617
3 La 0.160 0.042 0.617
4 La 0.160 0.458 0.117
5 La 0.250 0.750 0.000
6 La 0.250 0.750 0.500
7 La 0.340 0.042 0.117
8 La 0.340 0.458 0.617
9 La 0.458 0.160 0.617
10 La 0.458 0.340 0.117
11 La 0.542 0.660 0.883
12 La 0.542 0.840 0.383
13 La 0.660 0.542 0.383
14 La 0.660 0.958 0.883
15 La 0.750 0.250 0.000
16 La 0.750 0.250 0.500
17 La 0.840 0.542 0.883
18 La 0.840 0.958 0.383
19 La 0.958 0.660 0.383
20 La 0.958 0.840 0.883
21 Ir 0.096 0.596 0.750
22 Ir 0.096 0.904 0.250
23 Ir 0.250 0.250 0.386
24 Ir 0.250 0.250 0.886
25 Ir 0.404 0.596 0.250
26 Ir 0.404 0.904 0.750
27 Ir 0.596 0.096 0.250
28 Ir 0.596 0.404 0.750
29 Ir 0.750 0.750 0.114
30 Ir 0.750 0.750 0.614
31 Ir 0.904 0.096 0.750
32 Ir 0.904 0.404 0.250

***

No. 8
Density functional theory data (GGA-PBE) for LaIr2 after structural relaxation.

Results
formation enthalpy at 0 K	-0.738	eV per atom
uncorrected energy	-8.276	eV per atom

a b c (Å): 5.476 5.476 5.476
angles (deg): 60.00 60.00 60.00
Fractional coordinates of all 6 atoms:
1 La 0.125 0.125 0.125
2 La 0.875 0.875 0.875
3 Ir 0.000 0.500 0.500
4 Ir 0.500 0.000 0.500
5 Ir 0.500 0.500 0.000
6 Ir 0.500 0.500 0.500

***

No. 9
Density functional theory data (GGA-PBE) for LaIr5 after structural relaxation.

Results
formation enthalpy at 0 K	-0.304	eV per atom
uncorrected energy	-8.492	eV per atom

a b c (Å): 5.391 5.391 4.331
angles (deg): 90.00 90.00 120.00
Fractional coordinates of all 6 atoms:
1 La 0.000 0.000 0.000
2 Ir 0.000 0.500 0.500
3 Ir 0.333 0.667 0.000
4 Ir 0.500 0.000 0.500
5 Ir 0.500 0.500 0.500
6 Ir 0.667 0.333 0.000

***

No. 10
Density functional theory data (GGA-PBE) for La3Ir2 after structural relaxation.

Results
formation enthalpy at 0 K	-0.688	eV per atom
uncorrected energy	-7.185	eV per atom

a b c (Å): 7.730 7.730 7.730
angles (deg): 71.01 71.01 71.01
Fractional coordinates of all 15 atoms:
1 La 0.000 0.000 0.000
2 La 0.163 0.391 0.668
3 La 0.202 0.202 0.202
4 La 0.332 0.837 0.609
5 La 0.391 0.668 0.163
6 La 0.609 0.332 0.837
7 La 0.668 0.163 0.391
8 La 0.798 0.798 0.798
9 La 0.837 0.609 0.332
10 Ir 0.041 0.838 0.412
11 Ir 0.162 0.588 0.959
12 Ir 0.412 0.041 0.838
13 Ir 0.588 0.959 0.162
14 Ir 0.838 0.412 0.041
15 Ir 0.959 0.162 0.588

***

No. 11
Density functional theory data (GGA-PBE) for La5Ir2 after structural relaxation.

Results
formation enthalpy at 0 K	-0.559	eV per atom
uncorrected energy	-6.610	eV per atom

a b c (Å): 9.182 9.182 7.416
angles (deg): 95.99 95.99 43.33
Fractional coordinates of all 14 atoms:
1 La 0.078 0.922 0.750
2 La 0.144 0.287 0.317
3 La 0.287 0.144 0.817
4 La 0.299 0.514 0.088
5 La 0.486 0.701 0.412
6 La 0.514 0.299 0.588
7 La 0.701 0.486 0.912
8 La 0.713 0.856 0.183
9 La 0.856 0.713 0.683
10 La 0.922 0.078 0.250
11 Ir 0.093 0.684 0.420
12 Ir 0.316 0.907 0.080
13 Ir 0.684 0.093 0.920
14 Ir 0.907 0.316 0.580

***

No. 12
Density functional theory data (GGA-PBE) for LaNdIr2 after structural relaxation.

Results
formation enthalpy at 0 K	-0.575	eV per atom
uncorrected energy	-7.421	eV per atom

a b c (Å): 5.061 5.061 5.061
angles (deg): 60.00 60.00 60.00
Fractional coordinates of all 4 atoms:
1 La 0.000 0.000 0.000
2 Nd 0.500 0.500 0.500
3 Ir 0.250 0.250 0.250
4 Ir 0.750 0.750 0.750

***

Question: Which value of uncorrected energy does entry 10 give?
Answer: -7.185 eV per atom